# 1
{
  "formula": "Co3P4O14",
  "functional": "PBE with a Hubbard U",
  "state": "optimized geometry",
  "lattice_angstrom": [[3.729, -5.132, 3.008], [-4.187, -1.531, 8.208], [-7.347, -5.467, -2.032]],
  "species": ["Co", "Co", "Co", "Co", "Co", "Co", "P", "P", "P", "P", "P", "P", "P", "P", "O", "O", "O", "O", "O", "O", "O", "O", "O", "O", "O", "O", "O", "O", "O", "O", "O", "O", "O", "O", "O", "O", "O", "O", "O", "O", "O", "O"],
  "frac_coords": [[0.000, 0.000, 0.000], [0.474, 0.343, 0.981], [0.526, 0.657, 0.019], [0.000, 0.500, 0.500], [0.474, 0.843, 0.482], [0.526, 0.157, 0.518], [0.688, 0.885, 0.802], [0.688, 0.385, 0.302], [0.312, 0.615, 0.698], [0.312, 0.115, 0.198], [0.693, 0.361, 0.713], [0.693, 0.862, 0.213], [0.307, 0.138, 0.787], [0.307, 0.639, 0.287], [0.857, 0.431, 0.666], [0.856, 0.932, 0.167], [0.144, 0.068, 0.833], [0.143, 0.569, 0.334], [0.703, 0.310, 0.887], [0.702, 0.810, 0.387], [0.298, 0.190, 0.613], [0.297, 0.690, 0.113], [0.484, 0.497, 0.646], [0.483, 0.997, 0.146], [0.517, 0.003, 0.854], [0.516, 0.503, 0.354], [0.638, 0.934, 0.627], [0.638, 0.434, 0.127], [0.362, 0.566, 0.873], [0.362, 0.066, 0.373], [0.654, 0.724, 0.861], [0.655, 0.224, 0.361], [0.345, 0.776, 0.639], [0.346, 0.276, 0.139], [0.679, 0.727, 0.154], [0.679, 0.227, 0.653], [0.321, 0.773, 0.347], [0.321, 0.273, 0.846], [0.114, 0.606, 0.635], [0.113, 0.107, 0.135], [0.887, 0.893, 0.865], [0.886, 0.394, 0.365]],
  "corrected_energy_ev_per_fu": -157.7,
  "relative_energy_ev_per_atom": 0.022,
  "delta_e_f_mev_per_atom": -2163
}

# 2
{
  "formula": "Co2P5O15",
  "functional": "PBE with a Hubbard U",
  "state": "optimized geometry",
  "lattice_angstrom": [[5.297, 0.000, 0.000], [0.000, 8.487, 0.000], [-4.271, 0.000, 12.821]],
  "species": ["Co", "Co", "Co", "Co", "P", "P", "P", "P", "P", "P", "P", "P", "P", "P", "O", "O", "O", "O", "O", "O", "O", "O", "O", "O", "O", "O", "O", "O", "O", "O", "O", "O", "O", "O", "O", "O", "O", "O", "O", "O", "O", "O", "O", "O"],
  "frac_coords": [[0.000, 0.212, 0.000], [0.000, 0.788, 0.500], [0.195, 0.220, 0.427], [0.195, 0.780, 0.927], [0.099, 0.430, 0.215], [0.099, 0.570, 0.715], [0.415, 0.325, 0.865], [0.415, 0.675, 0.365], [0.558, 0.004, 0.820], [0.558, 0.996, 0.320], [0.622, 0.006, 0.606], [0.622, 0.994, 0.106], [0.782, 0.324, 0.565], [0.782, 0.676, 0.065], [0.009, 0.348, 0.297], [0.009, 0.652, 0.797], [0.185, 0.342, 0.135], [0.185, 0.658, 0.635], [0.205, 0.310, 0.917], [0.205, 0.690, 0.417], [0.339, 0.450, 0.772], [0.339, 0.550, 0.272], [0.347, 0.029, 0.529], [0.347, 0.971, 0.029], [0.375, 0.116, 0.342], [0.375, 0.884, 0.842], [0.404, 0.168, 0.794], [0.404, 0.832, 0.294], [0.504, 0.356, 0.495], [0.504, 0.644, 0.995], [0.582, 0.049, 0.212], [0.582, 0.951, 0.712], [0.697, 0.355, 0.930], [0.697, 0.645, 0.430], [0.777, 0.171, 0.636], [0.777, 0.829, 0.136], [0.805, 0.113, 0.085], [0.805, 0.887, 0.585], [0.836, 0.023, 0.895], [0.836, 0.977, 0.395], [0.856, 0.452, 0.656], [0.856, 0.548, 0.156], [0.995, 0.303, 0.514], [0.995, 0.697, 0.014]],
  "corrected_energy_ev_per_fu": -164.6,
  "relative_energy_ev_per_atom": 0.100,
  "delta_e_f_mev_per_atom": -2232
}

# 3
{
  "formula": "Co2P2O7",
  "functional": "PBE with a Hubbard U",
  "state": "optimized geometry",
  "lattice_angstrom": [[5.339, 0.000, 0.000], [-1.285, 5.198, 0.000], [-1.292, -1.632, 8.832]],
  "species": ["Co", "Co", "Co", "Co", "P", "P", "P", "P", "O", "O", "O", "O", "O", "O", "O", "O", "O", "O", "O", "O", "O", "O"],
  "frac_coords": [[0.000, 0.000, 0.000], [0.001, 0.996, 0.499], [0.375, 0.624, 0.001], [0.377, 0.620, 0.501], [0.471, 0.093, 0.797], [0.471, 0.094, 0.297], [0.905, 0.526, 0.203], [0.905, 0.527, 0.703], [0.065, 0.384, 0.611], [0.065, 0.688, 0.856], [0.066, 0.686, 0.356], [0.067, 0.383, 0.111], [0.309, 0.237, 0.389], [0.310, 0.932, 0.644], [0.310, 0.933, 0.145], [0.312, 0.236, 0.890], [0.615, 0.932, 0.889], [0.615, 0.934, 0.390], [0.688, 0.310, 0.250], [0.688, 0.310, 0.750], [0.761, 0.686, 0.111], [0.761, 0.688, 0.611]],
  "corrected_energy_ev_per_fu": -84.4,
  "relative_energy_ev_per_atom": 0.010,
  "delta_e_f_mev_per_atom": -2244
}

# 4
{
  "formula": "Co3P2O16",
  "functional": "PBE with a Hubbard U",
  "state": "optimized geometry",
  "lattice_angstrom": [[4.792, -6.130, 0.000], [4.792, 6.130, 0.000], [-1.107, 0.000, 4.287]],
  "species": ["Co", "Co", "Co", "P", "P", "O", "O", "O", "O", "O", "O", "O", "O", "O", "O", "O", "O", "O", "O", "O", "O"],
  "frac_coords": [[0.000, 0.000, 0.000], [0.374, 0.626, 0.000], [0.626, 0.374, 0.000], [0.317, 0.317, 0.366], [0.683, 0.683, 0.634], [0.039, 0.812, 0.152], [0.157, 0.157, 0.375], [0.188, 0.961, 0.848], [0.190, 0.621, 0.750], [0.239, 0.454, 0.206], [0.379, 0.810, 0.250], [0.407, 0.407, 0.720], [0.454, 0.239, 0.206], [0.546, 0.761, 0.794], [0.593, 0.593, 0.280], [0.621, 0.190, 0.750], [0.761, 0.546, 0.794], [0.810, 0.379, 0.250], [0.812, 0.039, 0.152], [0.843, 0.843, 0.625], [0.961, 0.188, 0.848]],
  "corrected_energy_ev_per_fu": -130.3,
  "delta_e_f_mev_per_atom": -905
}

Copy entry 1 word for word.
{
  "formula": "Co3P4O14",
  "functional": "PBE with a Hubbard U",
  "state": "optimized geometry",
  "lattice_angstrom": [[3.729, -5.132, 3.008], [-4.187, -1.531, 8.208], [-7.347, -5.467, -2.032]],
  "species": ["Co", "Co", "Co", "Co", "Co", "Co", "P", "P", "P", "P", "P", "P", "P", "P", "O", "O", "O", "O", "O", "O", "O", "O", "O", "O", "O", "O", "O", "O", "O", "O", "O", "O", "O", "O", "O", "O", "O", "O", "O", "O", "O", "O"],
  "frac_coords": [[0.000, 0.000, 0.000], [0.474, 0.343, 0.981], [0.526, 0.657, 0.019], [0.000, 0.500, 0.500], [0.474, 0.843, 0.482], [0.526, 0.157, 0.518], [0.688, 0.885, 0.802], [0.688, 0.385, 0.302], [0.312, 0.615, 0.698], [0.312, 0.115, 0.198], [0.693, 0.361, 0.713], [0.693, 0.862, 0.213], [0.307, 0.138, 0.787], [0.307, 0.639, 0.287], [0.857, 0.431, 0.666], [0.856, 0.932, 0.167], [0.144, 0.068, 0.833], [0.143, 0.569, 0.334], [0.703, 0.310, 0.887], [0.702, 0.810, 0.387], [0.298, 0.190, 0.613], [0.297, 0.690, 0.113], [0.484, 0.497, 0.646], [0.483, 0.997, 0.146], [0.517, 0.003, 0.854], [0.516, 0.503, 0.354], [0.638, 0.934, 0.627], [0.638, 0.434, 0.127], [0.362, 0.566, 0.873], [0.362, 0.066, 0.373], [0.654, 0.724, 0.861], [0.655, 0.224, 0.361], [0.345, 0.776, 0.639], [0.346, 0.276, 0.139], [0.679, 0.727, 0.154], [0.679, 0.227, 0.653], [0.321, 0.773, 0.347], [0.321, 0.273, 0.846], [0.114, 0.606, 0.635], [0.113, 0.107, 0.135], [0.887, 0.893, 0.865], [0.886, 0.394, 0.365]],
  "corrected_energy_ev_per_fu": -157.7,
  "relative_energy_ev_per_atom": 0.022,
  "delta_e_f_mev_per_atom": -2163
}